LiMn2P2O8 | GGA+U | relaxed

```
data_LiMn2P2O8
_cell_length_a 8.703
_cell_length_b 9.051
_cell_length_c 12.533
_cell_angle_alpha 104.78
_cell_angle_beta 99.35
_cell_angle_gamma 104.95
_symmetry_space_group_name_H-M 'P 1'
_symmetry_Int_Tables_number 1
_symmetry_space_group_name_Hall 'P 1'
loop_
_atom_site_label
_atom_site_type_symbol
_atom_site_fract_x
_atom_site_fract_y
_atom_site_fract_z
_atom_site_occupancy
Li1 Li 0.000 0.000 0.000 1
Li2 Li 0.001 0.259 0.269 1
Li3 Li 0.485 0.648 0.156 1
Li4 Li 0.495 0.378 0.902 1
Li5 Li 0.504 0.122 0.618 1
Li6 Li 0.993 0.511 0.539 1
Mn1 Mn 0.112 0.903 0.482 1
Mn2 Mn 0.117 0.400 0.978 1
Mn3 Mn 0.216 0.525 0.759 1
Mn4 Mn 0.230 0.013 0.260 1
Mn5 Mn 0.434 0.496 0.387 1
Mn6 Mn 0.436 0.994 0.891 1
Mn7 Mn 0.557 0.518 0.645 1
Mn8 Mn 0.562 0.023 0.152 1
Mn9 Mn 0.774 0.500 0.284 1
Mn10 Mn 0.777 0.984 0.777 1
Mn11 Mn 0.873 0.109 0.557 1
Mn12 Mn 0.881 0.608 0.054 1
P1 P 0.153 0.622 0.265 1
P2 P 0.163 0.137 0.774 1
P3 P 0.209 0.278 0.497 1
P4 P 0.209 0.784 0.999 1
P5 P 0.373 0.772 0.627 1
P6 P 0.378 0.274 0.128 1
P7 P 0.618 0.740 0.911 1
P8 P 0.622 0.246 0.413 1
P9 P 0.786 0.235 0.040 1
P10 P 0.786 0.729 0.539 1
P11 P 0.830 0.376 0.763 1
P12 P 0.840 0.886 0.268 1
O1 O 0.028 0.510 0.307 1
O2 O 0.037 0.786 0.020 1
O3 O 0.038 0.278 0.513 1
O4 O 0.040 0.050 0.830 1
O5 O 0.094 0.577 0.132 1
O6 O 0.104 0.077 0.643 1
O7 O 0.167 0.801 0.318 1
O8 O 0.191 0.322 0.818 1
O9 O 0.221 0.672 0.653 1
O10 O 0.225 0.180 0.157 1
O11 O 0.227 0.617 0.949 1
O12 O 0.228 0.357 0.400 1
O13 O 0.231 0.873 0.910 1
O14 O 0.232 0.109 0.453 1
O15 O 0.326 0.601 0.290 1
O16 O 0.329 0.877 0.554 1
O17 O 0.332 0.372 0.615 1
O18 O 0.332 0.869 0.120 1
O19 O 0.341 0.125 0.811 1
O20 O 0.344 0.371 0.046 1
O21 O 0.457 0.653 0.564 1
O22 O 0.462 0.150 0.070 1
O23 O 0.489 0.619 0.803 1
O24 O 0.496 0.122 0.305 1
O25 O 0.503 0.893 0.735 1
O26 O 0.508 0.399 0.235 1
O27 O 0.534 0.369 0.468 1
O28 O 0.534 0.862 0.972 1
O29 O 0.653 0.389 0.727 1
O30 O 0.657 0.638 0.989 1
O31 O 0.661 0.163 0.502 1
O32 O 0.662 0.142 0.922 1
O33 O 0.663 0.893 0.226 1
O34 O 0.666 0.642 0.419 1
O35 O 0.763 0.404 0.085 1
O36 O 0.763 0.642 0.630 1
O37 O 0.768 0.157 0.138 1
O38 O 0.772 0.898 0.591 1
O39 O 0.773 0.838 0.887 1
O40 O 0.777 0.340 0.385 1
O41 O 0.805 0.192 0.721 1
O42 O 0.822 0.704 0.219 1
O43 O 0.888 0.438 0.895 1
O44 O 0.892 0.935 0.401 1
O45 O 0.955 0.464 0.709 1
O46 O 0.956 0.232 0.024 1
O47 O 0.958 0.727 0.519 1
O48 O 0.969 0.996 0.227 1
```

Values from the calculation:
Energy relative to the elements in eV/atom: -2.5178
Calculated total energy in eV for the cell shown: -567.3
Offset from the most stable computed form in kJ/mol of atoms: 2.0
Spin magnetization in μB/f.u.: 8.999


LiMnP2O7 | GGA+U | relaxed

```
data_LiMnP2O7
_cell_length_a 4.957
_cell_length_b 6.604
_cell_length_c 16.601
_cell_angle_alpha 90.00
_cell_angle_beta 91.60
_cell_angle_gamma 90.00
_symmetry_space_group_name_H-M 'P 1 21/c 1'
_symmetry_Int_Tables_number 14
_symmetry_space_group_name_Hall '-P 2ybc'
loop_
_atom_site_label
_atom_site_type_symbol
_atom_site_fract_x
_atom_site_fract_y
_atom_site_fract_z
_atom_site_occupancy
Li1 Li 0.244 0.021 0.240 1
Mn1 Mn 0.249 0.082 0.874 1
P1 P 0.240 0.203 0.074 1
P2 P 0.250 0.597 0.163 1
O1 O 0.029 0.191 0.317 1
O2 O 0.064 0.093 0.137 1
O3 O 0.150 0.177 0.988 1
O4 O 0.195 0.058 0.591 1
O5 O 0.372 0.012 0.736 1
O6 O 0.428 0.739 0.628 1
O7 O 0.462 0.659 0.405 1
```

Values from the calculation:
Energy relative to the elements in eV/atom: -2.5423
Calculated total energy in eV for the cell shown: -312.1
Offset from the most stable computed form in kJ/mol of atoms: 2.3
Spin magnetization in μB/f.u.: 4.000


- Number 1 is which compound?
  LiMn2P2O8